# Gd2WO6, optimized geometry, DFT GGA+U
# Formation energy (meV/atom): -3260
# Relative energy among the computed polymorphs (kcal/mol of atoms): 0.00
# DFT total energy (eV per atom): -10.18
data_Gd2WO6
_symmetry_space_group_name_H-M 'P 21 21 21'
_symmetry_Int_Tables_number 19
_cell_length_a 5.3483
_cell_length_b 9.2650
_cell_length_c 10.1236
_cell_angle_alpha 90.00
_cell_angle_beta 90.00
_cell_angle_gamma 90.00
loop_
_symmetry_equiv_pos_as_xyz
'x,y,z'
'-x+1/2,-y,z+1/2'
'x+1/2,-y+1/2,-z'
'-x,y+1/2,-z+1/2'
loop_
_atom_site_label
_atom_site_fract_x
_atom_site_fract_y
_atom_site_fract_z
Gd1 0.0201 0.1036 0.4643
Gd2 0.0368 0.2189 0.8698
W1 0.0395 0.4959 0.3493
O1 0.0833 0.8451 0.0304
O2 0.1729 0.9520 0.2953
O3 0.1843 0.6361 0.8195
O4 0.1891 0.6400 0.2375
O5 0.2286 0.1141 0.0674
O6 0.2475 0.5887 0.4930